(1)
6
Lattice="0.0000 3.5524 3.5524 3.5524 0.0000 3.5524 3.5524 3.5524 0.0000" Properties=species:S:1:pos:R:3 comment="PBE-GGA ScCu4Sn, relaxed" energy_ev_per_cell=-27.97 spacegroup=F-43m total_magnetization_mub_per_atom=0.0000 pbc="T T T"
Sc 0.0000 0.0000 0.0000
Cu 2.6603 2.6603 2.6603
Cu 4.4445 4.4445 2.6603
Cu 4.4445 2.6603 4.4445
Cu 2.6603 4.4445 4.4445
Sn 5.3287 5.3287 5.3287


(2)
36
Lattice="20.1003 0.0000 0.0000 0.0000 3.8156 0.0000 0.0000 0.0000 10.7300" Properties=species:S:1:pos:R:3 comment="PBE-GGA Sc6CuTe2, relaxed" energy_mp2020_ev_per_atom=-6.069 spacegroup=Pnma total_magnetization_mub_per_atom=0.0124 pbc="T T T"
Sc 0.1445 0.9539 1.1846
Sc 0.4896 2.8617 4.0796
Sc 2.1547 0.9539 8.8301
Sc 2.7803 2.8617 0.7168
Sc 3.1176 0.9539 5.7993
Sc 4.6148 2.8617 8.0424
Sc 5.4353 0.9539 2.6774
Sc 6.9325 2.8617 0.4343
Sc 7.2698 0.9539 6.0818
Sc 7.8954 2.8617 3.4651
Sc 9.5606 0.9539 9.4446
Sc 9.9056 2.8617 6.5496
Sc 10.1947 0.9539 4.1804
Sc 10.5397 2.8617 1.2854
Sc 12.2049 0.9539 7.2650
Sc 12.8304 2.8617 4.6482
Sc 13.1678 0.9539 10.2957
Sc 14.6649 2.8617 8.0526
Sc 15.4855 0.9539 2.6876
Sc 16.9826 2.8617 4.9307
Sc 17.3200 0.9539 10.0132
Sc 17.9455 2.8617 1.9000
Sc 19.6107 0.9539 6.6504
Sc 19.9558 2.8617 9.5454
Cu 1.5168 2.8617 6.9013
Cu 8.5333 0.9539 1.5363
Cu 11.5670 2.8617 9.1937
Cu 18.5834 0.9539 3.8287
Te 2.5254 0.9539 2.9399
Te 4.7667 0.9539 10.3647
Te 5.2834 2.8617 4.9997
Te 7.5248 2.8617 8.3049
Te 12.5755 0.9539 2.4251
Te 14.8169 0.9539 5.7303
Te 15.3335 2.8617 0.3653
Te 17.5749 2.8617 7.7901


(3)
4
Lattice="0.0000 3.1338 3.1338 3.1338 0.0000 3.1338 3.1338 3.1338 0.0000" Properties=species:S:1:pos:R:3 comment="PBE-GGA ScZn2Cu, relaxed" energy_ev_per_cell=-14.01 spacegroup=Fm-3m pbc="T T T"
Sc 0.0000 0.0000 0.0000
Zn 1.5669 1.5669 1.5669
Zn 4.7008 4.7008 4.7008
Cu 3.1338 3.1338 3.1338


(4)
12
Lattice="8.3136 0.0000 0.0000 0.0000 2.5741 4.4151 0.0000 -2.5741 4.4151" Properties=species:S:1:pos:R:3 comment="PBE-GGA ScZnCu, relaxed" energy_ev_per_cell=-50.31 spacegroup=Amm2 total_magnetization_mub_per_atom=0.0004 pbc="T T T"
Sc 1.5478 0.0000 0.0000
Sc 2.4940 0.0000 2.9346
Sc 5.8196 0.0000 2.9346
Sc 6.7658 0.0000 0.0000
Zn 0.0000 0.0000 4.4349
Zn 4.1568 -1.3043 5.1479
Zn 4.1568 1.3043 5.1479
Zn 4.1568 0.0000 7.3838
Cu 0.0000 -1.2779 2.2319
Cu 0.0000 1.2779 2.2319
Cu 2.0752 0.0000 5.8946
Cu 6.2384 0.0000 5.8946